DFT (PBE-GGA) results for a geometry-optimized Nb2NiS4 structure.

Lattice parameters (Å, degrees): 10.4104 3.3729 15.6557 90.00 90.00 90.00
Last column: nearest neighbours and their distance in Å.
Fractional positions:
Nb (0.0553, 0.2500, 0.0778)  6 S 2.45-2.54
Nb (0.1347, 0.2500, 0.5620)  6 S 2.45-2.55, 1 Ni 2.73
Nb (0.3653, 0.7500, 0.0620)  6 S 2.45-2.55, 1 Ni 2.73
Nb (0.4447, 0.7500, 0.5778)  6 S 2.45-2.54
Nb (0.5553, 0.2500, 0.4222)  6 S 2.45-2.54
Nb (0.6347, 0.2500, 0.9380)  6 S 2.45-2.55, 1 Ni 2.73
Nb (0.8653, 0.7500, 0.4380)  6 S 2.45-2.55, 1 Ni 2.73
Nb (0.9447, 0.7500, 0.9222)  6 S 2.45-2.54
Ni (0.1657, 0.2500, 0.7350)  3 S 2.12-2.16
Ni (0.3343, 0.7500, 0.2350)  3 S 2.12-2.16
Ni (0.6657, 0.2500, 0.7650)  3 S 2.12-2.16
Ni (0.8343, 0.7500, 0.2650)  3 S 2.12-2.16
S (0.0017, 0.2500, 0.8148)  1 Ni 2.12
S (0.0370, 0.2500, 0.4134)  3 Nb 2.49-2.54
S (0.1643, 0.7500, 0.9801)  4 Nb 2.45-2.54
S (0.2369, 0.7500, 0.6633)  2 Ni 2.16
S (0.2631, 0.2500, 0.1633)  2 Ni 2.16
S (0.3357, 0.2500, 0.4801)  4 Nb 2.45-2.54
S (0.4630, 0.7500, 0.9134)  3 Nb 2.49-2.54
S (0.4983, 0.7500, 0.3148)  1 Ni 2.12
S (0.5017, 0.2500, 0.6852)  1 Ni 2.12
S (0.5370, 0.2500, 0.0866)  3 Nb 2.49-2.54
S (0.6643, 0.7500, 0.5199)  4 Nb 2.45-2.54
S (0.7369, 0.7500, 0.8367)  2 Ni 2.16
S (0.7631, 0.2500, 0.3367)  2 Ni 2.16
S (0.8357, 0.2500, 0.0199)  4 Nb 2.45-2.54
S (0.9630, 0.7500, 0.5866)  3 Nb 2.49-2.54
S (0.9983, 0.7500, 0.1852)  1 Ni 2.12

## Properties
* total DFT energy (no corrections): -47.3 eV/f.u.
* magnetic moment: 0.0 μB/f.u.

DFT (PBE-GGA) results for a geometry-optimized Nb2NiS4 structure.

Lattice parameters (Å, degrees): 3.4673 3.4673 13.1998 90.00 90.00 120.00
Last column: nearest neighbours and their distance in Å.
Fractional positions:
Nb (0.3333, 0.6667, 0.2697)  4 S 2.36-2.41
Nb (0.6667, 0.3333, 0.7303)  4 S 2.36-2.41
Ni (0.0000, 0.0000, 0.0000)  6 S 2.34
S (0.3333, 0.6667, 0.0912)  3 Ni 2.34, 1 Nb 2.36
S (0.3333, 0.6667, 0.6286)  3 Nb 2.41
S (0.6667, 0.3333, 0.3714)  3 Nb 2.41
S (0.6667, 0.3333, 0.9088)  3 Ni 2.34, 1 Nb 2.36

## Properties
* total DFT energy (no corrections): -46.1 eV/f.u.
* magnetic moment: 0.0 μB/f.u.

DFT (PBE-GGA) results for a geometry-optimized Nb2NiS4 structure.

Lattice parameters (Å, degrees): 10.0251 3.3596 13.3308 90.00 90.00 90.00
Last column: nearest neighbours and their distance in Å.
Fractional positions:
Nb (0.0138, 0.2500, 0.0918)  6 S 2.49-2.69
Nb (0.1414, 0.7500, 0.4032)  8 S 2.53-2.78
Nb (0.3586, 0.2500, 0.9032)  8 S 2.53-2.78
Nb (0.4862, 0.7500, 0.5918)  6 S 2.49-2.69
Nb (0.5138, 0.2500, 0.4082)  6 S 2.49-2.69
Nb (0.6414, 0.7500, 0.0968)  8 S 2.53-2.78
Nb (0.8586, 0.2500, 0.5968)  8 S 2.53-2.78
Nb (0.9862, 0.7500, 0.9082)  6 S 2.49-2.69
Ni (0.2348, 0.7500, 0.1853)  4 S 2.21-2.28
Ni (0.2652, 0.2500, 0.6853)  4 S 2.21-2.28
Ni (0.7348, 0.7500, 0.3147)  4 S 2.21-2.28
Ni (0.7652, 0.2500, 0.8147)  4 S 2.21-2.28
S (0.0463, 0.7500, 0.5837)  3 Nb 2.53-2.59, 1 S 2.74
S (0.1261, 0.2500, 0.8196)  1 Ni 2.27, 2 Nb 2.49
S (0.1280, 0.2500, 0.2575)  2 Ni 2.21
S (0.1974, 0.7500, 0.0163)  1 Ni 2.28
S (0.3026, 0.2500, 0.5163)  1 Ni 2.28
S (0.3720, 0.7500, 0.7575)  2 Ni 2.21
S (0.3739, 0.7500, 0.3196)  1 Ni 2.27, 2 Nb 2.49
S (0.4537, 0.2500, 0.0837)  3 Nb 2.53-2.59, 1 S 2.74
S (0.5463, 0.7500, 0.9163)  3 Nb 2.53-2.59, 1 S 2.74
S (0.6261, 0.2500, 0.6804)  1 Ni 2.27, 2 Nb 2.49
S (0.6280, 0.2500, 0.2425)  2 Ni 2.21
S (0.6974, 0.7500, 0.4837)  1 Ni 2.28
S (0.8026, 0.2500, 0.9837)  1 Ni 2.28
S (0.8720, 0.7500, 0.7425)  2 Ni 2.21
S (0.8739, 0.7500, 0.1804)  1 Ni 2.27, 2 Nb 2.49
S (0.9537, 0.2500, 0.4163)  3 Nb 2.53-2.59, 1 S 2.74

## Properties
* total DFT energy (no corrections): -47.1 eV/f.u.
* magnetic moment: 0.0 μB/f.u.

DFT (PBE-GGA) results for a geometry-optimized Nb3SiNi8 structure.

Lattice parameters (Å, degrees): 4.7945 4.7945 7.7005 90.00 90.00 120.00
Last column: nearest neighbours and their distance in Å.
Fractional positions:
Nb (0.0000, 0.0000, 0.0000)  12 Ni 2.75-2.82, 4 Nb 2.94-2.97
Nb (0.0000, 0.0000, 0.3823)  12 Ni 2.73-2.81, 3 Si 2.88, 1 Nb 2.94
Nb (0.6667, 0.3333, 0.8600)  12 Ni 2.73-2.90, 1 Si 2.88, 3 Nb 2.97
Si (0.6667, 0.3333, 0.4858)  12 Ni 2.64-2.87, 4 Nb 2.88
Ni (0.1641, 0.3282, 0.6899)  6 Ni 2.36-2.43
Ni (0.1641, 0.8359, 0.6899)  6 Ni 2.36-2.43
Ni (0.3333, 0.6667, 0.4414)  6 Ni 2.37-2.38
Ni (0.3333, 0.6667, 0.9445)  6 Ni 2.37-2.41
Ni (0.5029, 0.0058, 0.1922)  6 Ni 2.36-2.44
Ni (0.5029, 0.4971, 0.1922)  6 Ni 2.36-2.44
Ni (0.6718, 0.8359, 0.6899)  6 Ni 2.36-2.43
Ni (0.9942, 0.4971, 0.1922)  6 Ni 2.36-2.44

## Properties
* total DFT energy (no corrections): -84.2 eV/f.u.
* magnetic moment: 1.2 μB/f.u.

Table of V (Å³ per cell), in record order: 549.7 137.4 449.0 153.3